Entry 1:
The following is a DFT calculation (PBE with a Hubbard U) of crystalline Li7Mn4CoO12 at its relaxed geometry.

Cell: 5.0368 5.2198 8.7389 Å, 74.79 85.55 78.67°
With the nearest neighbours (Å) after each atom.
Space group P1 (No. 1)
Symmetry-distinct sites (fractional):
Li  0.0000  0.0000  0.0000 (multiplicity 1)  4 O 1.99-2.17
Li  0.0017  0.3361  0.6512 (multiplicity 1)  6 O 2.07-2.22
Li  0.0069  0.6694  0.3335 (multiplicity 1)  6 O 2.06-2.20
Li  0.2485  0.0862  0.4117 (multiplicity 1)  6 O 2.06-2.21
Li  0.4908  0.8351  0.1714 (multiplicity 1)  6 O 2.09-2.23
Li  0.4965  0.5033  0.4908 (multiplicity 1)  4 O 2.02-2.16
Li  0.4997  0.1678  0.8257 (multiplicity 1)  6 O 2.04-2.18
Mn  0.2516  0.4064  0.0874 (multiplicity 1)  5 O 1.94-2.12
Mn  0.2522  0.7617  0.7384 (multiplicity 1)  6 O 1.91-2.06
Mn  0.7471  0.5872  0.9099 (multiplicity 1)  4 O 1.95-1.99
Mn  0.7534  0.2397  0.2537 (multiplicity 1)  6 O 1.89-2.07
Co  0.7593  0.9333  0.5722 (multiplicity 1)  5 O 1.91-2.05
O  0.0996  0.0511  0.2048 (multiplicity 1)  2 Mn 1.90-2.12, 3 Li 1.99-2.11
O  0.1129  0.7148  0.5524 (multiplicity 1)  1 Mn 1.91, 1 Co 1.94, 3 Li 2.11-2.13
O  0.1227  0.4175  0.8699 (multiplicity 1)  3 Mn 1.97-2.06, 1 Li 2.15
O  0.3843  0.7879  0.9389 (multiplicity 1)  2 Mn 1.95-1.97, 2 Li 2.14
O  0.3867  0.0798  0.6284 (multiplicity 1)  1 Mn 1.91, 1 Co 1.96, 2 Li 2.04-2.06
O  0.3918  0.4565  0.2758 (multiplicity 1)  2 Mn 1.94-1.97, 3 Li 2.08-2.13
O  0.6080  0.5516  0.7139 (multiplicity 1)  2 Mn 1.94-1.97, 2 Li 2.14-2.16
O  0.6126  0.2087  0.0531 (multiplicity 1)  2 Mn 1.95-2.00, 3 Li 2.12-2.18
O  0.6469  0.9127  0.3723 (multiplicity 1)  1 Mn 1.90, 1 Co 1.91, 2 Li 2.06-2.08
O  0.8602  0.2919  0.4447 (multiplicity 1)  1 Mn 1.89, 3 Li 2.02-2.08, 1 Co 2.05
O  0.8751  0.5890  0.1198 (multiplicity 1)  3 Mn 1.98-2.07, 2 Li 2.19
O  0.8951  0.9584  0.7730 (multiplicity 1)  1 Mn 1.93, 1 Co 1.98, 2 Li 2.13-2.15

Results
Spin magnetization   0.5833 μB/atom
E_tot   -6.2216 eV per atom
Offset from the most stable computed form   0.644 eV per formula unit

=====

Entry 2:
The following is a DFT calculation (PBE with a Hubbard U) of crystalline Li7Mn2Co3O12 at its relaxed geometry.

Cell: 8.2829 2.9131 9.8041 Å, 90.00 114.40 90.00°
With the nearest neighbours (Å) after each atom.
Space group Pm (No. 6)
Symmetry-distinct sites (fractional):
Li  0.0000  0.0000  0.0000 (multiplicity 1)  6 O 2.08-2.14
Li  0.0081  0.5000  0.4986 (multiplicity 1)  6 O 2.10-2.22
Li  0.1653  0.0000  0.3290 (multiplicity 1)  6 O 2.00-2.23
Li  0.3174  0.5000  0.1662 (multiplicity 1)  5 O 2.02-2.20
Li  0.5046  0.0000  0.9937 (multiplicity 1)  4 O 2.00-2.09
Li  0.6915  0.5000  0.8429 (multiplicity 1)  6 O 2.10-2.32
Li  0.8445  0.0000  0.6869 (multiplicity 1)  4 O 1.98-2.13
Mn  0.1637  0.5000  0.8388 (multiplicity 1)  6 O 1.83-2.04
Mn  0.6705  0.0000  0.3320 (multiplicity 1)  6 O 1.91-1.97
Co  0.3466  0.0000  0.6739 (multiplicity 1)  6 O 2.01-2.08
Co  0.4993  0.5000  0.5033 (multiplicity 1)  6 O 1.93-2.07
Co  0.8561  0.5000  0.1607 (multiplicity 1)  3 O 1.79-1.96
O  0.0785  0.5000  0.1757 (multiplicity 1)  1 Co 1.79
O  0.1018  0.0000  0.6869 (multiplicity 1)  2 Mn 1.99, 1 Co 2.08, 3 Li 2.13-2.22
O  0.2464  0.0000  0.9822 (multiplicity 1)  2 Mn 1.94, 2 Li 2.09-2.12
O  0.2700  0.5000  0.5102 (multiplicity 1)  3 Co 1.93-2.06, 1 Li 2.13
O  0.4043  0.5000  0.8281 (multiplicity 1)  2 Co 2.01, 1 Mn 2.04, 2 Li 2.08
O  0.4399  0.0000  0.3407 (multiplicity 1)  1 Mn 1.95, 2 Co 2.06, 2 Li 2.16
O  0.5839  0.0000  0.6578 (multiplicity 1)  3 Co 2.01-2.04, 3 Li 2.06-2.21
O  0.6021  0.5000  0.1894 (multiplicity 1)  2 Mn 1.93
O  0.7375  0.5000  0.4807 (multiplicity 1)  2 Mn 1.97, 1 Co 2.07, 1 Li 2.17
O  0.7554  0.0000  0.0156 (multiplicity 1)  2 Co 1.96, 4 Li 2.00-2.13
O  0.9009  0.0000  0.3307 (multiplicity 1)  1 Mn 1.91, 2 Li 2.10, 2 Co 2.13
O  0.9404  0.5000  0.8348 (multiplicity 1)  1 Mn 1.83, 2 Li 1.98

Results
Spin magnetization   0.2503 μB/atom
E_tot   -5.8579 eV per atom
Offset from the most stable computed form   1.705 eV per formula unit

=====

Entry 3:
The following is a DFT calculation (PBE with a Hubbard U) of crystalline Li7Mn4CoO12 at its relaxed geometry.

Cell: 13.2561 2.8747 11.7591 Å, 90.00 102.30 90.00°
With the nearest neighbours (Å) after each atom.
Space group Cm (No. 8)
Symmetry-distinct sites (fractional):
Li  0.0000  0.0000  0.0000 (multiplicity 2)  5 O 2.00-2.19
Li  0.0008  0.0000  0.2433 (multiplicity 2)  6 O 2.07-2.19
Li  0.0054  0.0000  0.4884 (multiplicity 2)  5 O 2.00-2.23
Li  0.1648  0.5000  0.1625 (multiplicity 2)  6 O 2.13-2.33
Li  0.1669  0.5000  0.6608 (multiplicity 2)  6 O 2.10-2.20
Li  0.3354  0.0000  0.8291 (multiplicity 2)  6 O 2.08-2.17
Li  0.3388  0.0000  0.3254 (multiplicity 2)  6 O 2.14-2.30
Mn  0.0050  0.0000  0.7474 (multiplicity 2)  4 O 1.96-1.97
Mn  0.1570  0.5000  0.4046 (multiplicity 2)  5 O 1.82-1.97
Mn  0.3323  0.0000  0.5757 (multiplicity 2)  5 O 1.97-2.18
Mn  0.3440  0.0000  0.0819 (multiplicity 2)  5 O 1.83-1.97
Co  0.1736  0.5000  0.9146 (multiplicity 2)  5 O 1.94-2.11
O  0.0030  0.5000  0.8603 (multiplicity 2)  2 Mn 1.96, 3 Li 2.17-2.19
O  0.0052  0.5000  0.6329 (multiplicity 2)  2 Mn 1.97, 1 Li 2.10
O  0.0162  0.5000  0.3732 (multiplicity 2)  1 Mn 1.82, 2 Li 2.00
O  0.1642  0.0000  0.5205 (multiplicity 2)  3 Mn 1.97-2.18, 3 Li 2.06-2.18
O  0.1692  0.0000  0.2976 (multiplicity 2)  2 Mn 1.94, 2 Li 2.13
O  0.1750  0.0000  0.8040 (multiplicity 2)  2 Co 1.94, 1 Li 2.08
O  0.1798  0.0000  0.0276 (multiplicity 2)  2 Co 1.95, 1 Mn 2.13, 2 Li 2.18
O  0.3251  0.5000  0.4586 (multiplicity 2)  3 Mn 1.98-2.18, 2 Li 2.16
O  0.3291  0.5000  0.6892 (multiplicity 2)  2 Mn 1.97, 3 Li 2.11-2.17
O  0.3323  0.5000  0.1891 (multiplicity 2)  2 Mn 1.94, 2 Li 2.14
O  0.3365  0.5000  0.9661 (multiplicity 2)  2 Mn 1.97, 1 Co 2.11, 3 Li 2.12-2.16
O  0.4852  0.0000  0.1140 (multiplicity 2)  1 Mn 1.83, 2 Li 2.00

Results
Spin magnetization   0.7500 μB/atom
E_tot   -6.1923 eV per atom
Offset from the most stable computed form   1.346 eV per formula unit

=====

Entry 4:
The following is a DFT calculation (PBE with a Hubbard U) of crystalline Li7Mn4CoO12 at its relaxed geometry.

Cell: 5.8742 5.9541 12.6827 Å, 76.81 88.79 87.85°
With the nearest neighbours (Å) after each atom.
Space group P-1 (No. 2)
Symmetry-distinct sites (fractional):
Li  0.0000  0.0000  0.0000 (multiplicity 1)  6 O 2.15-2.30
Li  0.0038  0.6882  0.6486 (multiplicity 2)  4 O 1.99-2.20
Li  0.2501  0.0000  0.5001 (multiplicity 2)  6 O 2.06-2.14
Li  0.2502  0.5000  0.5001 (multiplicity 2)  6 O 2.05-2.13
Li  0.2521  0.8323  0.8337 (multiplicity 2)  6 O 2.07-2.20
Li  0.2532  0.1665  0.1654 (multiplicity 2)  6 O 2.07-2.19
Li  0.4962  0.3121  0.3504 (multiplicity 2)  4 O 2.00-2.20
Li  0.5000  0.0000  0.0000 (multiplicity 1)  4 O 2.01-2.18
Mn  0.0069  0.8355  0.3405 (multiplicity 2)  5 O 1.81-2.02
Mn  0.2511  0.6641  0.1662 (multiplicity 2)  4 O 1.92-2.04
Mn  0.2533  0.3331  0.8350 (multiplicity 2)  4 O 1.93-2.03
Mn  0.4936  0.1646  0.6589 (multiplicity 2)  5 O 1.81-2.02
Co  0.0000  0.5000  0.0000 (multiplicity 1)  6 O 1.93-2.11
Co  0.5000  0.5000  0.0000 (multiplicity 1)  6 O 1.96-1.97
O  0.9996  0.2451  0.5128 (multiplicity 2)  1 Mn 1.81, 1 Li 1.99
O  0.0191  0.5691  0.8436 (multiplicity 2)  1 Co 1.93, 1 Mn 1.95, 1 Li 2.10
O  0.0214  0.9010  0.1734 (multiplicity 2)  2 Mn 1.93-2.07, 2 Li 2.11-2.15
O  0.2365  0.3878  0.6712 (multiplicity 2)  3 Mn 2.00-2.03, 2 Li 2.12-2.18
O  0.2439  0.7187  0.0033 (multiplicity 2)  2 Co 1.96-1.98, 1 Mn 2.02, 2 Li 2.10-2.16
O  0.2483  0.0552  0.3335 (multiplicity 2)  2 Mn 1.95, 3 Li 2.06-2.13
O  0.2507  0.9447  0.6669 (multiplicity 2)  2 Mn 1.95-1.96, 3 Li 2.07-2.14
O  0.2625  0.6120  0.3305 (multiplicity 2)  3 Mn 1.99-2.04, 2 Li 2.10-2.18
O  0.2760  0.2660  0.9942 (multiplicity 2)  2 Co 1.97-2.11, 1 Mn 1.97, 2 Li 2.01-2.12
O  0.4786  0.4275  0.1595 (multiplicity 2)  1 Mn 1.92, 1 Co 1.97, 1 Li 2.07
O  0.4827  0.0988  0.8237 (multiplicity 2)  2 Mn 1.93-2.04, 2 Li 2.10-2.16
O  0.4988  0.2453  0.5121 (multiplicity 2)  1 Mn 1.81, 1 Li 2.00

Results
Spin magnetization   0.0433 μB/atom
E_tot   -6.2042 eV per atom
Offset from the most stable computed form   1.060 eV per formula unit

=====

Entry 5:
The following is a DFT calculation (PBE with a Hubbard U) of crystalline Li7Mn2Co3O12 at its relaxed geometry.

Cell: 2.9603 5.0896 14.4650 Å, 89.15 88.03 87.83°
With the nearest neighbours (Å) after each atom.
Space group P-1 (No. 2)
Symmetry-distinct sites (fractional):
Li  0.0000  0.0000  0.0000 (multiplicity 1)  6 O 2.09-2.17
Li  0.0000  0.0000  0.5000 (multiplicity 1)  6 O 2.05-2.19
Li  0.0088  0.6659  0.3430 (multiplicity 2)  5 O 2.00-2.21
Li  0.5000  0.1583  0.3420 (multiplicity 2)  6 O 2.08-2.26
Li  0.5000  0.5000  0.0000 (multiplicity 1)  6 O 2.14-2.15
Mn  0.4983  0.1673  0.8313 (multiplicity 2)  6 O 1.94-2.18
Co  0.0028  0.3328  0.1680 (multiplicity 2)  6 O 1.94-2.15
Co  0.5000  0.5000  0.5000 (multiplicity 1)  6 O 1.80-1.98
O  0.0180  0.3487  0.4276 (multiplicity 2)  2 Co 1.97-1.98, 3 Li 2.01-2.08
O  0.0285  0.3285  0.9115 (multiplicity 2)  2 Mn 1.95-2.18, 1 Co 2.06, 3 Li 2.09-2.15
O  0.0293  0.9953  0.2477 (multiplicity 2)  2 Mn 1.94-2.16, 1 Co 2.05, 2 Li 2.16-2.18
O  0.4818  0.1628  0.0909 (multiplicity 2)  2 Co 1.96-2.15, 1 Mn 2.01, 3 Li 2.14-2.17
O  0.4827  0.5014  0.7573 (multiplicity 2)  2 Co 1.94-2.11, 1 Mn 2.00
O  0.4934  0.7890  0.4264 (multiplicity 2)  1 Co 1.80, 1 Li 2.00

Results
Spin magnetization   0.3950 μB/atom
E_tot   -5.8236 eV per atom
Offset from the most stable computed form   2.529 eV per formula unit

=====

Entry 6:
The following is a DFT calculation (PBE with a Hubbard U) of crystalline Li3MnCoO5 at its relaxed geometry.

Cell: 2.9688 7.8019 8.1473 Å, 104.70 90.32 98.32°
With the nearest neighbours (Å) after each atom.
Space group P1 (No. 1)
Symmetry-distinct sites (fractional):
Li  0.0000  0.0000  0.0000 (multiplicity 1)  5 O 2.01-2.13
Li  0.0142  0.0099  0.5114 (multiplicity 1)  6 O 2.01-2.24
Li  0.1972  0.4008  0.0970 (multiplicity 1)  5 O 2.01-2.18
Li  0.4298  0.8183  0.7241 (multiplicity 1)  6 O 2.05-2.30
Li  0.6255  0.2109  0.2989 (multiplicity 1)  6 O 2.08-2.30
Li  0.8346  0.6235  0.9074 (multiplicity 1)  5 O 2.01-2.24
Mn  0.4322  0.8180  0.2008 (multiplicity 1)  6 O 1.83-2.02
Mn  0.8261  0.6114  0.4100 (multiplicity 1)  4 O 1.94-2.01
Co  0.2145  0.4078  0.6131 (multiplicity 1)  6 O 1.91-2.10
Co  0.6136  0.2016  0.8151 (multiplicity 1)  4 O 1.76-1.96
O  0.0032  0.9891  0.2513 (multiplicity 1)  2 Mn 1.95-1.97, 3 Li 2.07-2.15
O  0.1852  0.4127  0.3668 (multiplicity 1)  1 Mn 1.97, 1 Co 2.02, 3 Li 2.08-2.18
O  0.2512  0.3979  0.8447 (multiplicity 1)  2 Co 1.91-1.96, 1 Li 2.06
O  0.4164  0.8080  0.9735 (multiplicity 1)  1 Mn 1.83, 2 Li 2.01-2.05
O  0.4571  0.8031  0.4438 (multiplicity 1)  2 Mn 1.94-2.01, 1 Li 2.10
O  0.6222  0.2178  0.0343 (multiplicity 1)  1 Co 1.76
O  0.6302  0.2199  0.5794 (multiplicity 1)  3 Co 1.96-2.07, 1 Li 2.09
O  0.8052  0.5994  0.6468 (multiplicity 1)  1 Mn 1.96, 2 Co 2.03-2.10, 2 Li 2.08-2.14
O  0.8598  0.6363  0.1711 (multiplicity 1)  3 Mn 2.01-2.02, 2 Li 2.13-2.17
O  0.9984  0.0269  0.7614 (multiplicity 1)  2 Co 1.87-2.09, 2 Li 2.01

Results
Spin magnetization   0.5000 μB/atom
E_tot   -5.9021 eV per atom
Offset from the most stable computed form   0.573 eV per formula unit